Record 1
Sc11Ga9 | PBE-GGA | optimized geometry

Results
Crystal system   orthorhombic
SG   Fmm2 (42)
Total energy   -5.4302 eV/atom

Cell lengths 10.7267, 10.3493, 10.3282 Å; angles 62.50, 58.85, 58.65 degrees
Closest atoms and distances in Å follow each position.
Element x y z (fractional)
Sc 0.0000 0.0000 0.0000  6 Ga 2.83-3.11
Sc 0.0104 0.0844 0.6376  5 Ga 2.74-2.93
Sc 0.0844 0.0104 0.2676  5 Ga 2.74-2.93
Sc 0.0895 0.5999 0.1352  6 Ga 2.81-3.10
Sc 0.2382 0.7248 0.5374  6 Ga 2.81-3.07
Sc 0.2443 0.3089 0.4067  6 Ga 2.75-3.03
Sc 0.3089 0.2443 0.0401  6 Ga 2.75-3.03
Sc 0.3276 0.3276 0.6724  6 Ga 2.82-3.13
Sc 0.3624 0.7324 0.9896  5 Ga 2.74-2.93
Sc 0.4626 0.5004 0.7618  6 Ga 2.81-3.07
Sc 0.4857 0.8417 0.5143  7 Ga 2.79-3.08
Sc 0.4946 0.8405 0.1595  4 Ga 2.72-3.05
Sc 0.5004 0.4626 0.2752  6 Ga 2.81-3.07
Sc 0.5933 0.9599 0.7557  6 Ga 2.75-3.03
Sc 0.5999 0.0895 0.1754  6 Ga 2.81-3.10
Sc 0.7248 0.2382 0.4996  6 Ga 2.81-3.07
Sc 0.7324 0.3624 0.9156  5 Ga 2.74-2.93
Sc 0.8246 0.8648 0.4001  6 Ga 2.81-3.10
Sc 0.8405 0.4946 0.5054  4 Ga 2.72-3.05
Sc 0.8417 0.4857 0.1583  7 Ga 2.79-3.08
Sc 0.8648 0.8246 0.9105  6 Ga 2.81-3.10
Sc 0.9599 0.5933 0.6911  6 Ga 2.75-3.03
Ga 0.0390 0.2849 0.3286  1 Ga 2.56, 4 Sc 2.72-2.86
Ga 0.0387 0.2869 0.7131  2 Ga 2.54, 4 Sc 2.74-2.75
Ga 0.0417 0.2856 0.9583  4 Ga 2.54-2.79, 1 Sc 2.81
Ga 0.1316 0.5326 0.8684  2 Ga 2.79-2.86, 8 Sc 2.82-3.08
Ga 0.1586 0.6557 0.3443  8 Sc 2.97-3.11
Ga 0.1981 0.7955 0.8019  2 Ga 2.77-2.86, 8 Sc 2.83-3.05
Ga 0.2849 0.0390 0.3476  1 Ga 2.56, 4 Sc 2.72-2.86
Ga 0.2856 0.0417 0.7144  4 Ga 2.54-2.79, 1 Sc 2.81
Ga 0.2869 0.0387 0.9613  2 Ga 2.54, 4 Sc 2.74-2.75
Ga 0.4131 0.4131 0.0869  8 Sc 2.80-2.87
Ga 0.5326 0.1316 0.4674  2 Ga 2.79-2.86, 8 Sc 2.82-3.08
Ga 0.5652 0.5652 0.4348  8 Sc 2.81-3.05, 1 Ga 3.02
Ga 0.6524 0.6714 0.7151  1 Ga 2.56, 4 Sc 2.72-2.86
Ga 0.6557 0.1586 0.8414  8 Sc 2.97-3.11
Ga 0.6714 0.6524 0.9610  1 Ga 2.56, 4 Sc 2.72-2.86
Ga 0.7637 0.7637 0.2363  8 Sc 2.81-3.00, 1 Ga 3.02
Ga 0.7955 0.1981 0.2045  2 Ga 2.77-2.86, 8 Sc 2.83-3.05
Ga 0.9131 0.9131 0.5869  8 Sc 2.80-2.87



Record 2
MgSn3 | PBE-GGA | optimized geometry

Results
Crystal system   hexagonal
SG   P-6m2 (187)
Total energy   -3.4077 eV/atom

Cell lengths 3.3367, 3.3367, 10.8782 Å; angles 90.00, 90.00, 120.00 degrees
Closest atoms and distances in Å follow each position.
Element x y z (fractional)
Mg 0.0000 0.0000 0.0000  6 Sn 3.19, 6 Mg 3.34
Sn 0.0000 0.0000 0.5000  12 Sn 3.34-3.48
Sn 0.6667 0.3333 0.2335  3 Mg 3.19, 9 Sn 3.34-3.48
Sn 0.6667 0.3333 0.7665  3 Mg 3.19, 9 Sn 3.34-3.48



Record 3
CaMgB2O5 | PBE-GGA | optimized geometry

Results
Crystal system   orthorhombic
SG   Pbca (61)
Relative energy among the computed polymorphs   0.0020 eV/atom
Total energy   -7.3806 eV/atom

Cell lengths 5.5325, 36.5348, 11.1983 Å; angles 90.00, 90.00, 90.00 degrees
Closest atoms and distances in Å follow each position.
Element x y z (fractional)
Ca 0.1150 0.0296 0.1270  7 O 2.37-2.54
Ca 0.1150 0.4704 0.6270  7 O 2.37-2.54
Ca 0.1281 0.6975 0.3806  7 O 2.40-2.64
Ca 0.1281 0.8025 0.8806  7 O 2.40-2.64
Ca 0.1853 0.1359 0.6181  7 O 2.40-2.54
Ca 0.1853 0.3641 0.1181  7 O 2.40-2.54
Ca 0.3147 0.6359 0.6181  7 O 2.40-2.54
Ca 0.3147 0.8641 0.1181  7 O 2.40-2.54
Ca 0.3719 0.1975 0.3806  7 O 2.40-2.64
Ca 0.3719 0.3025 0.8806  7 O 2.40-2.64
Ca 0.3850 0.5296 0.1270  7 O 2.37-2.54
Ca 0.3850 0.9704 0.6270  7 O 2.37-2.54
Ca 0.6150 0.0296 0.3730  7 O 2.37-2.54
Ca 0.6150 0.4704 0.8730  7 O 2.37-2.54
Ca 0.6281 0.6975 0.1194  7 O 2.40-2.64
Ca 0.6281 0.8025 0.6194  7 O 2.40-2.64
Ca 0.6853 0.1359 0.8819  7 O 2.40-2.54
Ca 0.6853 0.3641 0.3819  7 O 2.40-2.54
Ca 0.8147 0.6359 0.8819  7 O 2.40-2.54
Ca 0.8147 0.8641 0.3819  7 O 2.40-2.54
Ca 0.8719 0.1975 0.1194  7 O 2.40-2.64
Ca 0.8719 0.3025 0.6194  7 O 2.40-2.64
Ca 0.8850 0.5296 0.3730  7 O 2.37-2.54
Ca 0.8850 0.9704 0.8730  7 O 2.37-2.54
Mg 0.0933 0.7456 0.6309  6 O 2.09-2.21
Mg 0.0933 0.7544 0.1309  6 O 2.09-2.21
Mg 0.1353 0.0879 0.3718  6 O 2.09-2.17
Mg 0.1353 0.4121 0.8718  6 O 2.09-2.17
Mg 0.1394 0.0792 0.8719  6 O 2.08-2.17
Mg 0.1394 0.4208 0.3719  6 O 2.08-2.17
Mg 0.3606 0.5792 0.8719  6 O 2.08-2.17
Mg 0.3606 0.9208 0.3719  6 O 2.08-2.17
Mg 0.3647 0.5879 0.3718  6 O 2.09-2.17
Mg 0.3647 0.9121 0.8718  6 O 2.09-2.17
Mg 0.4067 0.2456 0.6309  6 O 2.09-2.21
Mg 0.4067 0.2544 0.1309  6 O 2.09-2.21
Mg 0.5933 0.7456 0.8691  6 O 2.09-2.21
Mg 0.5933 0.7544 0.3691  6 O 2.09-2.21
Mg 0.6353 0.0879 0.1282  6 O 2.09-2.17
Mg 0.6353 0.4121 0.6282  6 O 2.09-2.17
Mg 0.6394 0.0792 0.6281  6 O 2.08-2.17
Mg 0.6394 0.4208 0.1281  6 O 2.08-2.17
Mg 0.8606 0.5792 0.6281  6 O 2.08-2.17
Mg 0.8606 0.9208 0.1281  6 O 2.08-2.17
Mg 0.8647 0.5879 0.1282  6 O 2.09-2.17
Mg 0.8647 0.9121 0.6282  6 O 2.09-2.17
Mg 0.9067 0.2456 0.8691  6 O 2.09-2.21
Mg 0.9067 0.2544 0.3691  6 O 2.09-2.21
B 0.0941 0.7237 0.8835  3 O 1.37-1.42
B 0.0941 0.7763 0.3835  3 O 1.37-1.42
B 0.0959 0.6634 0.1232  3 O 1.36-1.43
B 0.0959 0.8366 0.6232  3 O 1.36-1.43
B 0.1226 0.0582 0.6243  3 O 1.37-1.42
B 0.1226 0.4418 0.1243  3 O 1.37-1.42
B 0.1420 0.1085 0.1158  3 O 1.37-1.41
B 0.1420 0.3915 0.6158  3 O 1.37-1.41
B 0.1429 0.1696 0.8771  3 O 1.36-1.43
B 0.1429 0.3304 0.3771  3 O 1.36-1.43
B 0.1515 0.5038 0.8804  3 O 1.36-1.43
B 0.1515 0.9962 0.3804  3 O 1.36-1.43
B 0.3485 0.0038 0.8804  3 O 1.36-1.43
B 0.3485 0.4962 0.3804  3 O 1.36-1.43
B 0.3571 0.6696 0.8771  3 O 1.36-1.43
B 0.3571 0.8304 0.3771  3 O 1.36-1.43
B 0.3580 0.6085 0.1158  3 O 1.37-1.41
B 0.3580 0.8915 0.6158  3 O 1.37-1.41
B 0.3774 0.5582 0.6243  3 O 1.37-1.42
B 0.3774 0.9418 0.1243  3 O 1.37-1.42
B 0.4041 0.1634 0.1232  3 O 1.36-1.43
B 0.4041 0.3366 0.6232  3 O 1.36-1.43
B 0.4059 0.2237 0.8835  3 O 1.37-1.42
B 0.4059 0.2763 0.3835  3 O 1.37-1.42
B 0.5941 0.7237 0.6165  3 O 1.37-1.42
B 0.5941 0.7763 0.1165  3 O 1.37-1.42
B 0.5959 0.6634 0.3768  3 O 1.36-1.43
B 0.5959 0.8366 0.8768  3 O 1.36-1.43
B 0.6226 0.0582 0.8757  3 O 1.37-1.42
B 0.6226 0.4418 0.3757  3 O 1.37-1.42
B 0.6420 0.1085 0.3842  3 O 1.37-1.41
B 0.6420 0.3915 0.8842  3 O 1.37-1.41
B 0.6429 0.1696 0.6229  3 O 1.36-1.43
B 0.6429 0.3304 0.1229  3 O 1.36-1.43
B 0.6515 0.5038 0.6196  3 O 1.36-1.43
B 0.6515 0.9962 0.1196  3 O 1.36-1.43
B 0.8485 0.0038 0.6196  3 O 1.36-1.43
B 0.8485 0.4962 0.1196  3 O 1.36-1.43
B 0.8571 0.6696 0.6229  3 O 1.36-1.43
B 0.8571 0.8304 0.1229  3 O 1.36-1.43
B 0.8580 0.6085 0.3842  3 O 1.37-1.41
B 0.8580 0.8915 0.8842  3 O 1.37-1.41
B 0.8774 0.5582 0.8757  3 O 1.37-1.42
B 0.8774 0.9418 0.3757  3 O 1.37-1.42
B 0.9041 0.1634 0.3768  3 O 1.36-1.43
B 0.9041 0.3366 0.8768  3 O 1.36-1.43
B 0.9059 0.2237 0.6165  3 O 1.37-1.42
B 0.9059 0.2763 0.1165  3 O 1.37-1.42
O 0.0119 0.5801 0.9501  1 B 1.37
O 0.0119 0.9199 0.4501  1 B 1.37
O 0.0230 0.5908 0.4558  1 B 1.38
O 0.0230 0.9092 0.9558  1 B 1.38
O 0.0578 0.6891 0.5908  1 B 1.37
O 0.0578 0.8109 0.0908  1 B 1.37
O 0.0681 0.2420 0.5452  1 B 1.37
O 0.0681 0.2580 0.0452  1 B 1.37
O 0.0838 0.0197 0.6275  2 B 1.42-1.43
O 0.0838 0.4803 0.1275  2 B 1.42-1.43
O 0.0958 0.6983 0.1669  1 B 1.37
O 0.0958 0.8017 0.6669  1 B 1.37
O 0.1102 0.1447 0.4042  1 B 1.36
O 0.1102 0.3553 0.9042  1 B 1.36
O 0.1211 0.6852 0.8909  2 B 1.42-1.43
O 0.1211 0.8148 0.3909  2 B 1.42-1.43
O 0.1298 0.1351 0.8308  1 B 1.36
O 0.1298 0.3649 0.3308  1 B 1.36
O 0.1526 0.0232 0.9176  1 B 1.36
O 0.1526 0.4768 0.4176  1 B 1.36
O 0.1688 0.0316 0.3415  1 B 1.37
O 0.1688 0.4684 0.8415  1 B 1.37
O 0.1717 0.1468 0.1075  2 B 1.41-1.43
O 0.1717 0.3532 0.6075  2 B 1.41-1.43
O 0.2064 0.5730 0.6982  1 B 1.37
O 0.2064 0.9270 0.1982  1 B 1.37
O 0.2184 0.5893 0.1954  1 B 1.37
O 0.2184 0.9107 0.6954  1 B 1.37
O 0.2379 0.7423 0.8041  1 B 1.37
O 0.2379 0.7577 0.3041  1 B 1.37
O 0.2621 0.2423 0.8041  1 B 1.37
O 0.2621 0.2577 0.3041  1 B 1.37
O 0.2816 0.0893 0.1954  1 B 1.37
O 0.2816 0.4107 0.6954  1 B 1.37
O 0.2936 0.0730 0.6982  1 B 1.37
O 0.2936 0.4270 0.1982  1 B 1.37
O 0.3283 0.6468 0.1075  2 B 1.41-1.43
O 0.3283 0.8532 0.6075  2 B 1.41-1.43
O 0.3312 0.5316 0.3415  1 B 1.37
O 0.3312 0.9684 0.8415  1 B 1.37
O 0.3474 0.5232 0.9176  1 B 1.36
O 0.3474 0.9768 0.4176  1 B 1.36
O 0.3702 0.6351 0.8308  1 B 1.36
O 0.3702 0.8649 0.3308  1 B 1.36
O 0.3789 0.1852 0.8909  2 B 1.42-1.43
O 0.3789 0.3148 0.3909  2 B 1.42-1.43
O 0.3898 0.6447 0.4042  1 B 1.36
O 0.3898 0.8553 0.9042  1 B 1.36
O 0.4042 0.1983 0.1669  1 B 1.37
O 0.4042 0.3017 0.6669  1 B 1.37
O 0.4162 0.5197 0.6275  2 B 1.42-1.43
O 0.4162 0.9803 0.1275  2 B 1.42-1.43
O 0.4319 0.7420 0.5452  1 B 1.37
O 0.4319 0.7580 0.0452  1 B 1.37
O 0.4422 0.1891 0.5908  1 B 1.37
O 0.4422 0.3109 0.0908  1 B 1.37
O 0.4770 0.0908 0.4558  1 B 1.38
O 0.4770 0.4092 0.9558  1 B 1.38
O 0.4881 0.0801 0.9501  1 B 1.37
O 0.4881 0.4199 0.4501  1 B 1.37
O 0.5119 0.5801 0.5499  1 B 1.37
O 0.5119 0.9199 0.0499  1 B 1.37
O 0.5230 0.5908 0.0442  1 B 1.38
O 0.5230 0.9092 0.5442  1 B 1.38
O 0.5578 0.6891 0.9092  1 B 1.37
O 0.5578 0.8109 0.4092  1 B 1.37
O 0.5681 0.2420 0.9548  1 B 1.37
O 0.5681 0.2580 0.4548  1 B 1.37
O 0.5838 0.0197 0.8725  2 B 1.42-1.43
O 0.5838 0.4803 0.3725  2 B 1.42-1.43
O 0.5958 0.6983 0.3331  1 B 1.37
O 0.5958 0.8017 0.8331  1 B 1.37
O 0.6102 0.1447 0.0958  1 B 1.36
O 0.6102 0.3553 0.5958  1 B 1.36
O 0.6211 0.6852 0.6091  2 B 1.42-1.43
O 0.6211 0.8148 0.1091  2 B 1.42-1.43
O 0.6298 0.1351 0.6692  1 B 1.36
O 0.6298 0.3649 0.1692  1 B 1.36
O 0.6526 0.0232 0.5824  1 B 1.36
O 0.6526 0.4768 0.0824  1 B 1.36
O 0.6688 0.0316 0.1585  1 B 1.37
O 0.6688 0.4684 0.6585  1 B 1.37
O 0.6717 0.1468 0.3925  2 B 1.41-1.43
O 0.6717 0.3532 0.8925  2 B 1.41-1.43
O 0.7064 0.5730 0.8018  1 B 1.37
O 0.7064 0.9270 0.3018  1 B 1.37
O 0.7184 0.5893 0.3046  1 B 1.37
O 0.7184 0.9107 0.8046  1 B 1.37
O 0.7379 0.7423 0.6959  1 B 1.37
O 0.7379 0.7577 0.1959  1 B 1.37
O 0.7621 0.2423 0.6959  1 B 1.37
O 0.7621 0.2577 0.1959  1 B 1.37
O 0.7816 0.0893 0.3046  1 B 1.37
O 0.7816 0.4107 0.8046  1 B 1.37
O 0.7936 0.0730 0.8018  1 B 1.37
O 0.7936 0.4270 0.3018  1 B 1.37
O 0.8283 0.6468 0.3925  2 B 1.41-1.43
O 0.8283 0.8532 0.8925  2 B 1.41-1.43
O 0.8312 0.5316 0.1585  1 B 1.37
O 0.8312 0.9684 0.6585  1 B 1.37
O 0.8474 0.5232 0.5824  1 B 1.36
O 0.8474 0.9768 0.0824  1 B 1.36
O 0.8702 0.6351 0.6692  1 B 1.36
O 0.8702 0.8649 0.1692  1 B 1.36
O 0.8789 0.1852 0.6091  2 B 1.42-1.43
O 0.8789 0.3148 0.1091  2 B 1.42-1.43
O 0.8898 0.6447 0.0958  1 B 1.36
O 0.8898 0.8553 0.5958  1 B 1.36
O 0.9042 0.1983 0.3331  1 B 1.37
O 0.9042 0.3017 0.8331  1 B 1.37
O 0.9162 0.5197 0.8725  2 B 1.42-1.43
O 0.9162 0.9803 0.3725  2 B 1.42-1.43
O 0.9319 0.7420 0.9548  1 B 1.37
O 0.9319 0.7580 0.4548  1 B 1.37
O 0.9422 0.1891 0.9092  1 B 1.37
O 0.9422 0.3109 0.4092  1 B 1.37
O 0.9770 0.0908 0.0442  1 B 1.38
O 0.9770 0.4092 0.5442  1 B 1.38
O 0.9881 0.0801 0.5499  1 B 1.37
O 0.9881 0.4199 0.0499  1 B 1.37



Record 4
Mg14AlNi | PBE-GGA | optimized geometry

Results
Crystal system   orthorhombic
SG   Amm2 (38)
Relative energy among the computed polymorphs   0.0000 eV/atom
Total energy   -1.9777 eV/atom

Cell lengths 9.9880, 6.2187, 6.2187 Å; angles 60.02, 90.00, 90.00 degrees
Closest atoms and distances in Å follow each position.
Element x y z (fractional)
Mg 0.0000 0.0000 0.0000  12 Mg 3.11-3.20
Mg 0.0000 0.0024 0.4994  12 Mg 3.09-3.24
Mg 0.0000 0.4994 0.0024  12 Mg 3.09-3.24
Mg 0.0000 0.4990 0.4990  12 Mg 3.08-3.23
Mg 0.2509 0.6651 0.6651  1 Al 3.03, 11 Mg 3.06-3.15
Mg 0.2604 0.1618 0.1618  1 Ni 2.95, 11 Mg 3.00-3.21
Mg 0.2682 0.1658 0.6758  1 Ni 2.91, 1 Al 2.95, 10 Mg 2.98-3.24
Mg 0.2682 0.6758 0.1658  1 Ni 2.91, 1 Al 2.95, 10 Mg 2.98-3.24
Mg 0.5000 0.4982 0.9947  8 Mg 2.98-3.13, 2 Al 3.02-3.20, 2 Ni 3.06-3.16
Mg 0.5000 0.9947 0.4982  8 Mg 2.98-3.13, 2 Al 3.02-3.20, 2 Ni 3.06-3.16
Mg 0.7318 0.1658 0.6758  1 Ni 2.91, 1 Al 2.95, 10 Mg 2.98-3.24
Mg 0.7318 0.6758 0.1658  1 Ni 2.91, 1 Al 2.95, 10 Mg 2.98-3.24
Mg 0.7396 0.1618 0.1618  1 Ni 2.95, 11 Mg 3.00-3.21
Mg 0.7491 0.6651 0.6651  1 Al 3.03, 11 Mg 3.06-3.15
Al 0.5000 0.5051 0.5051  10 Mg 2.95-3.20, 2 Ni 3.11
Ni 0.5000 0.0024 0.0024  10 Mg 2.91-3.16, 2 Al 3.11



no.,DFT formation energy (eV/atom)
1,-0.585
2,0.000
3,-3.128
4,0.018